# 1
Entry from Materials Project: a relaxed structure of LiFeF4 (PBE with a Hubbard U).

```
LiFeF4
1.0
7.634 0.000 0.000
0.000 8.455 0.000
0.000 0.000 9.848
F Fe Li
32 8 8
Cartesian
1.040 2.114 0.786
1.564 7.704 0.729
2.778 0.678 2.972
7.188 5.150 5.848
2.253 7.704 5.652
1.564 4.979 0.729
1.039 0.678 7.896
6.595 4.906 1.952
2.253 4.979 5.652
4.856 7.777 6.875
4.867 2.114 1.569
0.446 3.305 4.000
4.263 5.150 0.924
3.371 0.922 8.923
5.381 0.751 4.195
2.778 3.549 2.972
7.188 7.533 5.848
4.263 7.533 0.924
2.767 6.342 8.279
4.857 6.342 4.138
6.595 6.342 9.062
4.856 4.906 6.875
2.778 2.114 5.710
0.446 0.922 4.000
6.070 3.476 9.119
6.595 7.777 1.952
6.070 0.751 9.119
1.039 3.549 7.896
5.381 3.476 4.195
3.371 3.305 8.923
6.584 2.114 6.492
1.050 6.342 3.355
1.691 2.114 8.935
2.126 2.114 4.011
4.893 2.114 9.542
2.741 6.342 0.306
5.944 6.342 0.913
6.558 2.114 4.618
5.508 6.342 5.836
1.076 6.342 5.230
4.654 3.966 2.528
6.797 0.261 7.451
0.837 8.194 2.396
2.980 4.489 7.320
6.797 3.966 7.451
2.980 8.194 7.320
0.837 4.489 2.396
4.654 0.261 2.528
```

## Properties
For the total energy, the calculation gives -5.05 eV/atom. The size of the total moment is 0.000 μB per cell.

---

# 2
Entry from Materials Project: a relaxed structure of MnCdO2 (PBE with a Hubbard U).

```
MnCdO2
1.0
-3.907 1.785 -3.722
2.012 -0.590 -5.288
-2.505 -6.059 -0.277
Mn O Cd
4 8 4
Cartesian
0.380 -1.810 -2.713
-0.873 -4.840 -2.852
-0.947 0.598 -4.505
-2.200 -2.432 -4.643
-2.742 -2.109 -6.812
-4.238 -3.378 -4.405
-1.658 -2.755 -2.474
-0.405 0.274 -2.336
-0.162 -1.487 -4.882
-2.985 -0.348 -4.266
-1.489 0.921 -6.674
-1.415 -4.516 -5.021
-2.580 -0.622 -1.930
-1.253 -3.030 -0.138
-3.832 -3.652 -2.069
0.000 0.000 0.000
```

## Properties
For the total energy, the calculation gives -5.89 eV/atom.

---

# 3
Entry from Materials Project: a relaxed structure of Li4Co3NiO8 (PBE with a Hubbard U).

```
Li4Co3NiO8
1.0
-5.822 0.006 0.000
-2.909 -1.682 -9.663
-2.906 -5.092 0.007
O Ni Li Co
16 2 8 6
Cartesian
-8.686 -3.456 -8.560
-2.910 -1.778 -5.928
-7.379 -4.193 -5.891
-4.256 -2.575 -3.765
-7.346 -5.967 -8.538
-7.382 -2.577 -3.765
-5.814 -5.155 -3.772
-2.952 -3.312 -1.097
-5.822 -1.613 -5.885
-4.293 -0.801 -1.119
-5.828 -3.386 -1.156
-10.161 -5.865 -8.533
-1.476 -0.902 -1.123
-5.810 -3.382 -8.501
-4.254 -4.191 -5.891
-8.727 -4.990 -3.729
-5.817 -3.385 -4.825
-2.911 -1.682 -9.660
-8.731 -5.060 -7.236
-5.823 -5.068 -7.298
-4.348 -2.551 -7.253
-4.346 -4.228 -2.404
-7.291 -4.217 -2.403
-7.290 -2.540 -7.252
-2.906 -1.707 -2.421
-5.815 -1.697 -2.359
-7.276 -0.835 -4.832
-7.271 -5.930 -4.825
-8.728 -3.381 -4.828
-5.817 -5.089 0.006
-1.453 -2.546 0.003
-4.364 -2.543 0.003
```

## Properties
For the total energy, the calculation gives -5.47 eV/atom. The size of the total moment is 10.000 μB per cell.

---

# 4
Entry from Materials Project: a relaxed structure of LiMn6O4F8 (PBE with a Hubbard U).

```
LiMn6O4F8
1.0
0.019 -3.162 -4.058
-6.401 -3.520 3.061
-3.072 3.644 -3.731
O F Mn Li
4 8 6 1
Cartesian
-6.281 -3.199 -2.119
-3.063 0.330 -3.091
-8.002 -1.672 -4.245
-3.233 -3.374 -1.315
-1.691 -1.657 -4.392
-4.686 -1.390 -0.169
-1.691 -1.182 -0.329
-4.483 -1.974 -4.044
-3.420 0.295 -5.654
-5.782 0.222 -2.364
-6.514 -3.337 0.740
-7.911 -1.202 -0.935
-4.703 0.289 -4.072
-6.423 -2.929 -4.264
-7.894 -3.193 -1.156
-3.176 0.016 -1.157
-0.058 -3.017 -4.051
-4.842 -3.456 -0.326
-4.400 -3.465 -2.737
```

## Properties
For the total energy, the calculation gives -6.45 eV/atom. The size of the total moment is 27.001 μB per cell.

---

# 5
Entry from Materials Project: a relaxed structure of Li3Mn4P6O24 (PBE with a Hubbard U).

```
Li3Mn4P6O24
1.0
-5.202 -6.589 1.146
-3.075 7.921 0.493
2.945 1.680 -7.907
Mn O P Li
4 24 6 3
Cartesian
-2.168 3.966 -2.739
-3.171 -0.973 -3.479
-6.115 2.154 0.699
0.768 0.874 -6.977
-4.477 4.177 -5.889
-3.725 0.222 -2.119
-3.778 -2.491 -2.475
-2.483 -2.148 -4.909
-2.649 2.170 -6.442
-2.230 7.815 -1.477
-3.464 -4.166 -0.825
-4.046 4.038 -3.315
-2.596 2.472 -1.627
-2.727 0.844 0.160
-2.741 0.527 -4.704
-2.551 5.259 -1.265
-3.594 -1.721 0.003
-1.626 2.798 -4.136
-3.833 6.671 0.201
-1.170 -1.061 -2.861
-3.083 -4.681 -4.686
-5.632 -2.823 -0.728
-4.893 1.908 -0.809
-1.800 4.715 -6.286
-1.605 5.442 -3.815
0.189 5.921 -5.625
-0.476 1.129 -5.482
-2.041 7.131 -5.442
-1.286 5.776 -5.311
-3.475 1.334 -1.110
-3.247 6.670 -1.242
-1.976 -3.613 -4.977
-4.118 -2.771 -0.996
-1.883 1.713 -5.176
-0.529 -0.765 -4.707
-4.227 0.149 -6.082
-5.851 3.118 -2.135
```

## Properties
For the total energy, the calculation gives -7.01 eV/atom. The size of the total moment is 13.001 μB per cell.

---

# 6
Entry from Materials Project: a relaxed structure of PrCoSbPbO6 (PBE with a Hubbard U).

```
PrCoSbPbO6
1.0
5.791 0.000 0.000
0.000 5.689 0.000
0.000 5.670 8.053
O Sb Co Pr Pb
12 2 2 2 2
Cartesian
0.214 4.386 3.726
1.272 2.457 2.062
3.143 3.913 3.661
2.581 6.877 4.417
4.520 5.292 6.088
5.683 7.304 4.365
2.649 6.748 7.688
1.506 9.065 5.981
0.108 4.469 0.338
5.577 7.221 7.753
3.210 4.042 0.391
4.285 6.230 1.955
1.489 8.528 4.033
4.302 5.692 0.007
4.273 5.687 4.005
1.518 8.522 8.032
1.148 5.757 6.028
4.644 2.922 2.001
4.248 8.500 6.012
1.543 5.665 1.985
```

## Properties
For the total energy, the calculation gives -6.47 eV/atom. The size of the total moment is 1.997 μB per cell.

---

# 7
Entry from Materials Project: a relaxed structure of AlWO3 (PBE with a Hubbard U).

```
AlWO3
1.0
1.320 3.523 -4.153
-5.166 0.039 2.171
3.445 8.197 8.049
W O Al
6 18 6
Cartesian
-1.518 0.012 0.638
0.388 1.036 -1.220
-1.925 4.127 5.558
0.593 5.146 3.442
-2.715 2.516 -1.399
2.655 6.587 1.092
-2.046 3.953 0.079
3.460 8.398 4.953
-0.497 4.316 1.868
-0.724 2.641 -1.770
-2.886 1.480 0.338
1.027 2.559 0.184
0.707 8.895 5.625
3.261 8.025 2.596
1.343 3.197 3.139
1.168 6.670 4.872
0.998 6.740 2.254
3.066 7.295 7.163
-1.765 2.798 3.957
-0.958 1.493 2.119
0.654 6.891 7.689
1.916 4.774 0.368
-1.164 5.579 4.362
-1.240 5.607 6.986
1.787 8.617 4.097
2.524 6.006 5.897
0.802 1.908 1.873
0.064 4.518 0.072
-2.098 3.357 2.180
-0.375 7.455 6.205
```

## Properties
For the total energy, the calculation gives -7.09 eV/atom. The size of the total moment is 5.991 μB per cell.

---

# 8
Entry from Materials Project: a relaxed structure of NaLaFe4O12 (PBE with a Hubbard U).

```
NaLaFe4O12
1.0
0.000 -3.786 -3.799
0.000 -3.786 3.799
-7.694 0.000 0.000
O Fe La Na
12 4 1 1
Cartesian
0.000 -2.226 -1.949
-3.847 -2.067 1.926
-2.262 -3.786 -2.076
0.000 -5.346 -1.949
-5.748 -2.166 -0.006
-1.724 -3.786 2.127
-5.748 -5.406 -0.006
-1.947 -2.166 -0.006
-1.947 -5.406 -0.006
-3.847 -5.505 1.926
-5.432 -3.786 -2.076
-5.970 -3.786 2.127
-1.828 -1.889 1.886
-5.866 -5.683 1.886
-1.828 -5.683 1.886
-5.866 -1.889 1.886
-3.847 -3.786 -0.062
0.000 -3.786 -3.755
```

## Properties
For the total energy, the calculation gives -5.96 eV/atom. The size of the total moment is 12.000 μB per cell.

---

# 9
Entry from Materials Project: a relaxed structure of V3P4O16 (PBE with a Hubbard U).

```
V3P4O16
1.0
5.110 0.000 0.000
0.000 8.311 0.000
0.000 1.896 14.235
O V P
32 6 8
Cartesian
1.641 4.646 8.898
0.091 8.268 11.756
1.491 8.594 8.058
3.619 1.614 6.178
3.935 9.044 8.715
4.239 4.581 8.668
1.380 6.268 12.637
2.464 3.164 4.638
2.991 0.852 3.830
4.046 6.718 13.295
4.196 2.354 12.454
2.298 6.149 3.057
4.853 7.266 4.061
4.674 5.956 10.947
3.730 3.940 1.598
2.119 9.356 10.405
1.684 2.419 12.685
0.871 5.626 5.568
3.065 4.230 13.709
3.426 7.789 1.550
1.064 3.490 0.940
0.257 2.942 10.174
0.914 7.854 1.781
4.601 7.437 6.592
1.175 1.164 5.520
5.020 1.940 2.479
2.812 4.059 11.178
3.469 5.562 5.337
2.046 5.978 0.526
0.436 4.252 3.288
2.646 7.044 9.597
0.510 2.770 7.643
0.578 1.660 11.430
4.532 8.548 2.805
1.977 4.867 4.313
0.000 0.948 7.118
2.555 4.156 0.000
3.133 5.341 9.922
5.107 3.454 2.052
2.558 8.558 9.169
2.552 1.650 5.066
2.987 3.275 12.525
4.678 6.483 5.408
0.003 6.754 12.183
0.432 3.725 8.827
2.123 6.933 1.710
```

## Properties
For the total energy, the calculation gives -7.46 eV/atom.

---

# 10
Entry from Materials Project: a relaxed structure of Mn2ZnO4 (PBE with a Hubbard U).

```
Mn2ZnO4
1.0
2.829 0.006 0.571
1.236 7.910 1.327
-0.154 1.026 7.913
Zn O Mn
2 8 4
Cartesian
0.988 1.517 2.253
2.875 7.277 7.780
1.557 3.445 6.868
2.308 5.347 3.166
1.304 5.863 8.114
2.563 2.930 1.919
0.658 2.647 4.005
3.205 6.146 6.028
0.298 0.797 5.843
3.564 7.997 4.190
1.007 4.229 2.333
1.850 2.013 5.401
2.012 6.781 4.632
2.859 4.564 7.700
```

## Properties
For the total energy, the calculation gives -6.56 eV/atom. The size of the total moment is 16.001 μB per cell.

---

# 11
Entry from Materials Project: a relaxed structure of Li4Co3WO8 (PBE with a Hubbard U).

```
Li4Co3WO8
1.0
5.190 -3.029 0.000
5.190 3.029 0.000
3.422 0.000 4.940
W O Li Co
1 8 4 3
Cartesian
0.000 0.000 0.000
6.013 -1.646 1.143
3.609 0.000 1.292
10.194 0.000 3.648
7.790 1.646 3.797
5.052 0.000 3.827
8.750 0.000 1.113
6.013 1.646 1.143
7.790 -1.646 3.797
1.711 0.000 2.470
6.901 0.000 2.470
2.595 1.515 0.000
2.595 -1.515 0.000
4.306 -1.515 2.470
4.306 1.515 2.470
5.190 0.000 0.000
```

## Properties
For the total energy, the calculation gives -6.07 eV/atom. The size of the total moment is 9.002 μB per cell.

---

# 12
Entry from Materials Project: a relaxed structure of Li4Co3O7 (PBE with a Hubbard U).

```
Li4Co3O7
1.0
-2.191 1.887 0.723
-2.177 -3.465 2.928
8.265 5.790 13.109
Co Li O
6 8 14
Cartesian
1.985 1.522 7.071
4.023 3.076 14.241
4.011 1.937 11.586
1.913 2.690 9.689
-0.126 1.136 2.519
-0.113 2.275 5.174
-2.269 0.351 4.442
-0.128 -0.399 6.306
-2.184 -0.789 1.825
0.000 0.000 0.000
4.099 3.468 7.856
4.026 4.611 10.454
6.166 3.861 12.318
-0.201 0.744 8.904
-0.065 0.534 4.364
6.117 2.965 14.114
1.845 2.048 11.509
-2.196 -1.611 3.878
3.963 3.678 12.396
2.052 2.164 5.250
-2.219 1.247 2.646
-2.267 -0.564 6.317
6.165 4.776 10.443
1.993 0.822 8.861
1.905 3.390 7.899
6.094 5.823 12.882
-0.110 1.557 6.954
4.007 2.655 9.806
```

## Properties
For the total energy, the calculation gives -5.53 eV/atom. The size of the total moment is 6.001 μB per cell.